No. 1
First-principles (PBE) data for a relaxed KEuNbBiO6 crystal, as listed in the Materials Project.

Lattice parameters (Å, degrees): 8.588 8.638 8.610 90.00 90.00 90.00
Positions (direct):
O 0.485 0.261 0.240
O 0.240 0.485 0.267
O 0.015 0.761 0.740
O 0.985 0.761 0.260
O 0.485 0.739 0.760
O 0.760 0.485 0.733
O 0.760 0.515 0.267
O 0.740 0.015 0.767
O 0.761 0.255 0.985
O 0.239 0.255 0.015
O 0.985 0.239 0.740
O 0.261 0.245 0.485
O 0.515 0.261 0.760
O 0.739 0.245 0.515
O 0.260 0.985 0.767
O 0.740 0.985 0.233
O 0.761 0.745 0.015
O 0.261 0.755 0.515
O 0.015 0.239 0.260
O 0.515 0.739 0.240
O 0.260 0.015 0.233
O 0.239 0.745 0.985
O 0.739 0.755 0.485
O 0.240 0.515 0.733
Bi 0.750 0.750 0.750
Bi 0.250 0.250 0.750
Bi 0.250 0.750 0.250
Bi 0.750 0.250 0.250
Eu 0.500 0.500 0.500
Eu 0.000 0.000 0.000
Eu 0.000 0.500 0.500
Eu 0.500 0.000 0.000
Nb 0.250 0.250 0.250
Nb 0.750 0.750 0.250
Nb 0.750 0.250 0.750
Nb 0.250 0.750 0.750
K 0.500 0.000 0.500
K 0.000 0.000 0.500
K 0.500 0.500 0.000
K 0.000 0.500 0.000

Summary:
* polymorph energy (0 for the lowest one): 0.00 eV/f.u.
* space-group type: Pnnn, No. 48
* magnetic moment: 0.004 μB/atom
* formation energy from the elements: -2395 kJ/mol of formula units
* energy: -302.993 eV per cell


No. 2
First-principles (PBE) data for a relaxed KEuNbBiO6 crystal, as listed in the Materials Project.

Lattice parameters (Å, degrees): 6.034 6.034 6.034 60.00 60.00 60.00
Positions (direct):
O 0.264 0.736 0.264
O 0.264 0.736 0.736
O 0.736 0.736 0.264
O 0.264 0.264 0.736
O 0.736 0.264 0.264
O 0.736 0.264 0.736
Bi 0.000 0.000 0.000
Nb 0.500 0.500 0.500
K 0.250 0.250 0.250
Eu 0.750 0.750 0.750

Summary:
* polymorph energy (0 for the lowest one): 0.19 eV/f.u.
* space-group type: F-43m, No. 216
* magnetic moment: 0.671 μB/atom
* formation energy from the elements: -2376 kJ/mol of formula units
* energy: -75.554 eV per cell